Below is a relaxed Rb2AlHgF6 crystal, with properties calculated at the PBE-GGA level.

Values from the calculation:
The calculation puts the total energy at -0.163 Ha/atom. The calculated formation energy is -2968 meV/atom. The calculation puts the volume at 17.60 Å³ per atom.

Cell: 8.897 8.897 8.897 Å, 90.00 90.00 90.00°
Space group Fm-3m (No. 225)
One atom of each set of equivalent atoms:
Rb  0.250  0.250  0.250
Al  0.000  0.000  0.000
Hg  0.000  0.000  0.500
F  0.000  0.000  0.207

=====

Below is a relaxed Rb3HoCl6 crystal, with properties calculated at the PBE-GGA level.

Values from the calculation:
The calculation puts the total energy at -0.145 Ha/atom. The calculated formation energy is -2451 meV/atom. The calculation puts the volume at 37.83 Å³ per atom.

Cell: 11.481 11.481 11.481 Å, 90.00 90.00 90.00°
Space group Fm-3m (No. 225)
One atom of each set of equivalent atoms:
Rb  0.000  0.000  0.000
Rb  0.250  0.250  0.250
Ho  0.000  0.000  0.500
Cl  0.000  0.000  0.272

=====

Below is a relaxed Er7Te2Rh2 crystal, with properties calculated at the PBE-GGA level.

Values from the calculation:
The calculation puts the total energy at -0.209 Ha/atom. The calculated formation energy is -881 meV/atom. The calculation puts the volume at 26.23 Å³ per atom.

Cell: 3.887 15.672 9.471 Å, 90.00 90.00 90.00°
Space group Imm2 (No. 44)
One atom of each set of equivalent atoms:
Er  0.000  0.000  0.000
Er  0.000  0.132  0.416
Er  0.000  0.316  0.625
Er  0.000  0.354  0.267
Te  0.000  0.000  0.662
Te  0.000  0.500  0.765
Rh  0.000  0.238  0.928

=====

Below is a relaxed U6Al8Fe5Si5 crystal, with properties calculated at the PBE-GGA level.

Values from the calculation:
The calculation puts the total energy at -0.259 Ha/atom. The calculated formation energy is -69 meV/atom. The calculation puts the volume at 17.47 Å³ per atom.

Cell: 4.236 12.176 16.257 Å, 90.00 90.00 90.00°
Space group Immm (No. 71)
One atom of each set of equivalent atoms:
U  0.000  0.000  0.148
U  0.000  0.313  0.131
Al  0.000  0.000  0.379
Al  0.000  0.139  0.000
Al  0.000  0.169  0.500
Al  0.000  0.500  0.233
Fe  0.000  0.301  0.262
Fe  0.000  0.500  0.500
Si  0.000  0.352  0.403
Si  0.000  0.500  0.000

=====

Below is a relaxed Cs3Na26In48 crystal, with properties calculated at the PBE-GGA level.

Values from the calculation:
The calculation puts the total energy at -0.086 Ha/atom. The calculated formation energy is -141 meV/atom. The calculation puts the volume at 29.33 Å³ per atom.

Cell: 16.529 16.529 16.529 Å, 90.00 90.00 90.00°
Space group Pm-3n (No. 223)
One atom of each set of equivalent atoms:
Cs  0.000  0.000  0.500
Na  0.000  0.136  0.295
Na  0.000  0.250  0.500
Na  0.000  0.500  0.250
Na  0.189  0.189  0.189
In  0.000  0.154  0.092
In  0.000  0.318  0.164
In  0.095  0.330  0.332

=====

Below is a relaxed DyCl3 crystal, with properties calculated at the PBE-GGA level.

Values from the calculation:
The calculation puts the total energy at -0.176 Ha/atom. The calculated formation energy is -2713 meV/atom. The calculation puts the volume at 28.59 Å³ per atom.

Cell: 3.795 14.059 8.573 Å, 90.00 90.00 90.00°
Space group Cmcm (No. 63)
One atom of each set of equivalent atoms:
Dy  0.000  0.242  0.250
Cl  0.000  0.164  0.569
Cl  0.000  0.390  0.750

=====

Below is a relaxed Sr5Co2N6 crystal, with properties calculated at the PBE-GGA level.

Values from the calculation:
The calculation puts the total energy at -0.220 Ha/atom. The calculated formation energy is -570 meV/atom. The calculation puts the volume at 16.97 Å³ per atom.

Cell: 10.261 6.626 13.263 Å, 90.00 101.87 90.00°
Space group C2/c (No. 15)
One atom of each set of equivalent atoms:
Sr  0.000  0.121  0.250
Sr  0.065  0.237  0.997
Sr  0.159  0.407  0.719
Co  0.229  0.378  0.434
N  0.061  0.451  0.373
N  0.149  0.043  0.642
N  0.218  0.064  0.433

=====

Below is a relaxed RhBr3 crystal, with properties calculated at the PBE-GGA level.

Values from the calculation:
The calculation puts the total energy at -0.129 Ha/atom. The calculated formation energy is -846 meV/atom. The calculation puts the volume at 29.90 Å³ per atom.

Cell: 6.438 11.152 6.995 Å, 90.00 107.76 90.00°
Space group C2/m (No. 12)
One atom of each set of equivalent atoms:
Rh  0.000  0.167  0.000
Br  0.216  0.000  0.211
Br  0.247  0.323  0.211

=====

Below is a relaxed Zr4N3OF5 crystal, with properties calculated at the PBE-GGA level.

Values from the calculation:
The calculation puts the total energy at -0.312 Ha/atom. The calculated formation energy is -3047 meV/atom. The calculation puts the volume at 11.91 Å³ per atom.

Cell: 5.212 5.444 21.821 Å, 90.00 90.20 90.00°
Space group P2_1/c (No. 14)
One atom of each set of equivalent atoms:
Zr  0.182  0.219  0.128
Zr  0.189  0.724  0.750
Zr  0.196  0.731  0.501
Zr  0.203  0.225  0.371
N  0.033  0.035  0.938
N  0.038  0.504  0.185
N  0.044  0.504  0.312
O  0.006  0.034  0.560
F  0.425  0.134  0.253
F  0.430  0.614  0.652
F  0.440  0.632  0.850
F  0.446  0.127  0.047
F  0.488  0.129  0.446

=====

Below is a relaxed MgSi2 crystal, with properties calculated at the PBE-GGA level.

Values from the calculation:
The calculation puts the total energy at -0.148 Ha/atom. The calculated formation energy is 177 meV/atom. The calculation puts the volume at 17.15 Å³ per atom.

Cell: 4.542 5.258 9.577 Å, 94.28 90.10 115.47°
Space group P-1 (No. 2)
One atom of each set of equivalent atoms:
Mg  0.104  0.216  0.397
Mg  0.244  0.490  0.113
Si  0.064  0.123  0.874
Si  0.222  0.437  0.685
Si  0.401  0.805  0.402
Si  0.464  0.923  0.802